1.
Ca2MnSi2 (GGA-PBE, optimized geometry); formation enthalpy at 0 K = 9.30 eV/f.u.; magnetic moment = 0.973 μB per atom
1.0
6.6755 0.0000 0.0000
0.0000 6.6755 0.0000
0.0000 0.0000 14.2055
Mn Si Ca
1 2 2
Direct
0.5000 0.5000 0.0000
0.5000 0.5000 0.8384
0.5000 0.5000 0.1616
0.5000 0.5000 0.6335
0.5000 0.5000 0.3665

***

2.
CaMnSi (GGA-PBE, optimized geometry); formation enthalpy at 0 K = -1.02 eV/f.u.; magnetic moment = 0.682 μB per atom
1.0
3.9217 0.0000 0.0000
0.0000 3.9217 0.0000
0.0000 0.0000 7.9056
Mn Si Ca
2 2 2
Direct
0.0000 0.0000 0.0000
0.5000 0.5000 0.0000
0.0000 0.5000 0.8285
0.5000 0.0000 0.1715
0.0000 0.5000 0.3194
0.5000 0.0000 0.6806